# NaSi

NaSi after structural relaxation (meta-GGA r2SCAN, the Materials Project).

Structure (POSCAR):
```
NaSi
1.0
-3.6078 -2.4794 -4.8762
-1.7462 -6.6524 0.2714
-9.8247 0.4418 2.6413
Na Si
8 8
Cartesian
-11.5719 -2.7727 0.3388
-3.6069 -5.9172 -2.3023
-13.4696 -7.6886 -2.3453
-8.3234 -2.8355 -2.0327
-1.7092 -1.0013 0.3818
-5.2168 -2.8877 -0.4670
-9.9620 -5.8022 -1.4965
-6.8554 -5.8544 0.0692
-9.3603 -0.9490 0.4605
-2.7762 -4.4958 0.2496
-5.8185 -7.7409 -2.4240
-6.8440 -5.5428 -2.7829
-12.4025 -4.1941 -2.2131
-8.3347 -3.1472 0.8194
-8.1071 -7.5652 -3.0518
-7.0717 -1.1248 1.0883
```

Properties
The space group is C2/c (15). The total energy is -6.238 eV per atom. The crystal system is monoclinic.